Li2ZnSiO4: optimized geometry, PBE.

Lattice parameters (Å, degrees): 5.108 10.735 8.088 90.00 128.57 90.00
Space group P2_1/c (No. 14)
Symmetry-distinct sites (fractional):
Li: 0.038 0.075 0.240 x4
Li: 0.185 0.163 0.993 x4
Zn: 0.310 0.664 0.001 x4
Si: 0.436 0.088 0.746 x4
O: 0.111 0.089 0.746 x4
O: 0.243 0.660 0.539 x4
O: 0.327 0.160 0.531 x4
O: 0.445 0.056 0.244 x4

Output
- formation energy (meV/atom) = -2641.7
- magnetic moment (μB per cell) = 0.00